Material: La3TlC
Method: DFT, PBE-GGA
State: optimized geometry

Cell and atoms, written as POSCAR:
```
La3TlC
1.0
5.249 0.000 0.000
0.000 5.249 0.000
0.000 0.000 5.249
La C Tl
3 1 1
Direct
0.500 0.000 0.500 La
0.500 0.500 0.000 La
0.000 0.500 0.500 La
0.500 0.500 0.500 C
0.000 0.000 0.000 Tl
```

Values from the calculation:
formation energy from the elements = -0.29 eV/atom